Eu2Nb5O9: optimized geometry, PBE-GGA.

Computed properties:
E_form	-2.83	eV per atom

abc: 4.1964 4.1964 12.1675
angles: 90.00 90.00 90.00
Sites, in units of the cell vectors:
Eu: 0.0000 0.0000 0.1694
Eu: 0.0000 0.0000 0.8306
Nb: 0.0000 0.5000 0.5000
Nb: 0.5000 0.0000 0.5000
Nb: 0.5000 0.5000 0.0000
Nb: 0.5000 0.5000 0.3355
Nb: 0.5000 0.5000 0.6645
O: 0.0000 0.0000 0.5000
O: 0.0000 0.5000 0.0000
O: 0.0000 0.5000 0.3226
O: 0.0000 0.5000 0.6774
O: 0.5000 0.0000 0.0000
O: 0.5000 0.0000 0.3226
O: 0.5000 0.0000 0.6774
O: 0.5000 0.5000 0.1621
O: 0.5000 0.5000 0.8379

=====

Eu3NbO7: optimized geometry, PBE-GGA.

Computed properties:
E_form	-3.21	eV per atom

abc: 6.5929 6.5929 7.7392
angles: 90.00 90.00 110.26
Sites, in units of the cell vectors:
Eu: 0.0077 0.0077 0.0000
Eu: 0.0310 0.4971 0.2526
Eu: 0.4971 0.0310 0.7474
Eu: 0.5029 0.9690 0.2474
Eu: 0.9690 0.5029 0.7526
Eu: 0.9923 0.9923 0.5000
Nb: 0.4981 0.4981 0.5000
Nb: 0.5019 0.5019 0.0000
O: 0.1280 0.8720 0.7500
O: 0.1378 0.8622 0.2500
O: 0.1772 0.4234 0.9732
O: 0.1830 0.4312 0.5339
O: 0.4234 0.1772 0.0268
O: 0.4312 0.1830 0.4661
O: 0.4418 0.5582 0.2500
O: 0.5582 0.4418 0.7500
O: 0.5688 0.8170 0.9661
O: 0.5766 0.8228 0.5268
O: 0.8170 0.5688 0.0339
O: 0.8228 0.5766 0.4732
O: 0.8622 0.1378 0.7500
O: 0.8720 0.1280 0.2500

=====

Eu3NbO6: optimized geometry, PBE-GGA.

Computed properties:
E_form	-3.34	eV per atom

abc: 5.8079 6.0530 10.1789
angles: 90.00 124.69 90.00
Sites, in units of the cell vectors:
Eu: 0.0000 0.0000 0.0000
Eu: 0.0000 0.5000 0.5000
Eu: 0.2629 0.0554 0.7474
Eu: 0.2629 0.4446 0.2474
Eu: 0.7371 0.5554 0.7526
Eu: 0.7371 0.9446 0.2526
Nb: 0.5000 0.0000 0.5000
Nb: 0.5000 0.5000 0.0000
O: 0.1551 0.0525 0.2731
O: 0.1551 0.4475 0.7731
O: 0.2722 0.6771 0.0561
O: 0.2722 0.8229 0.5561
O: 0.3998 0.2192 0.0690
O: 0.3998 0.2808 0.5690
O: 0.6002 0.7192 0.4310
O: 0.6002 0.7808 0.9310
O: 0.7278 0.1771 0.4439
O: 0.7278 0.3229 0.9439
O: 0.8449 0.5525 0.2269
O: 0.8449 0.9475 0.7269

=====

Eu3NbO7: optimized geometry, PBE-GGA.

Computed properties:
E_form	-3.19	eV per atom

abc: 7.4885 7.6914 10.8238
angles: 90.00 90.00 90.00
Sites, in units of the cell vectors:
Eu: 0.0230 0.0060 0.2441
Eu: 0.2052 0.2500 0.5138
Eu: 0.2143 0.2439 0.9758
Eu: 0.2857 0.7561 0.4758
Eu: 0.2948 0.7500 0.0138
Eu: 0.4770 0.9940 0.7441
Eu: 0.5230 0.4940 0.7559
Eu: 0.7052 0.2500 0.4862
Eu: 0.7143 0.2561 0.0242
Eu: 0.7857 0.7439 0.5242
Eu: 0.7948 0.7500 0.9862
Eu: 0.9770 0.5060 0.2559
Nb: 0.0061 0.4962 0.7489
Nb: 0.4939 0.5038 0.2489
Nb: 0.5061 0.0038 0.2511
Nb: 0.9939 0.9962 0.7511
O: 0.0131 0.7605 0.3774
O: 0.0355 0.7453 0.1067
O: 0.0758 0.2523 0.7434
O: 0.1463 0.5442 0.6028
O: 0.1900 0.9713 0.6188
O: 0.1999 0.5379 0.8687
O: 0.2108 0.9587 0.8687
O: 0.2892 0.0413 0.3687
O: 0.3001 0.4621 0.3687
O: 0.3100 0.0287 0.1188
O: 0.3537 0.4558 0.1028
O: 0.4242 0.7477 0.2434
O: 0.4645 0.2547 0.6067
O: 0.4869 0.2395 0.8774
O: 0.5131 0.7395 0.6226
O: 0.5355 0.7547 0.8933
O: 0.5758 0.2477 0.2566
O: 0.6463 0.9558 0.3972
O: 0.6900 0.5287 0.3812
O: 0.6999 0.9621 0.1313
O: 0.7108 0.5413 0.1313
O: 0.7892 0.4587 0.6313
O: 0.8001 0.0379 0.6313
O: 0.8100 0.4713 0.8812
O: 0.8537 0.0442 0.8972
O: 0.9242 0.7523 0.7566
O: 0.9645 0.2453 0.3933
O: 0.9869 0.2605 0.1226

=====

Eu3NbO7: optimized geometry, PBE-GGA.

Computed properties:
E_form	-3.20	eV per atom

abc: 6.5828 6.5828 7.7677
angles: 90.00 90.00 69.16
Sites, in units of the cell vectors:
Eu: 0.0000 0.0000 0.0000
Eu: 0.0000 0.0000 0.5000
Eu: 0.0483 0.4848 0.7500
Eu: 0.4848 0.0483 0.2500
Eu: 0.5152 0.9517 0.7500
Eu: 0.9517 0.5152 0.2500
Nb: 0.5000 0.5000 0.0000
Nb: 0.5000 0.5000 0.5000
O: 0.1143 0.1502 0.2500
O: 0.1502 0.1143 0.7500
O: 0.1777 0.5677 0.0277
O: 0.1777 0.5677 0.4723
O: 0.4323 0.8223 0.0277
O: 0.4323 0.8223 0.4723
O: 0.4432 0.5568 0.7500
O: 0.5568 0.4432 0.2500
O: 0.5677 0.1777 0.5277
O: 0.5677 0.1777 0.9723
O: 0.8223 0.4323 0.5277
O: 0.8223 0.4323 0.9723
O: 0.8498 0.8857 0.2500
O: 0.8857 0.8498 0.7500

=====

PrEu2NbO6: optimized geometry, PBE-GGA.

Computed properties:
E_form	-3.19	eV per atom

abc: 6.1041 6.1041 6.1041
angles: 60.00 60.00 60.00
Sites, in units of the cell vectors:
Pr: 0.0000 0.0000 0.0000
Eu: 0.2500 0.2500 0.2500
Eu: 0.7500 0.7500 0.7500
Nb: 0.5000 0.5000 0.5000
O: 0.2676 0.2676 0.7324
O: 0.2676 0.7324 0.2676
O: 0.2676 0.7324 0.7324
O: 0.7324 0.2676 0.2676
O: 0.7324 0.2676 0.7324
O: 0.7324 0.7324 0.2676

=====

PrEu2NbO6: optimized geometry, PBE-GGA.

Computed properties:
E_form	-3.31	eV per atom

abc: 8.5150 8.5150 8.5150
angles: 90.00 90.00 90.00
Sites, in units of the cell vectors:
Pr: 0.0000 0.0000 0.0000
Pr: 0.0000 0.5000 0.5000
Pr: 0.5000 0.0000 0.5000
Pr: 0.5000 0.5000 0.0000
Eu: 0.2500 0.2500 0.2500
Eu: 0.2500 0.2500 0.7500
Eu: 0.2500 0.7500 0.2500
Eu: 0.2500 0.7500 0.7500
Eu: 0.7500 0.2500 0.2500
Eu: 0.7500 0.2500 0.7500
Eu: 0.7500 0.7500 0.2500
Eu: 0.7500 0.7500 0.7500
Nb: 0.0000 0.0000 0.5000
Nb: 0.0000 0.5000 0.0000
Nb: 0.5000 0.0000 0.0000
Nb: 0.5000 0.5000 0.5000
O: 0.0412 0.5506 0.7698
O: 0.0412 0.9494 0.7302
O: 0.0506 0.2302 0.5412
O: 0.0506 0.2698 0.9588
O: 0.2302 0.5412 0.0506
O: 0.2302 0.9588 0.4494
O: 0.2698 0.5412 0.4494
O: 0.2698 0.9588 0.0506
O: 0.4494 0.2302 0.9588
O: 0.4494 0.2698 0.5412
O: 0.4588 0.5506 0.7302
O: 0.4588 0.9494 0.7698
O: 0.5412 0.0506 0.2302
O: 0.5412 0.4494 0.2698
O: 0.5506 0.7302 0.4588
O: 0.5506 0.7698 0.0412
O: 0.7302 0.0412 0.9494
O: 0.7302 0.4588 0.5506
O: 0.7698 0.0412 0.5506
O: 0.7698 0.4588 0.9494
O: 0.9494 0.7302 0.0412
O: 0.9494 0.7698 0.4588
O: 0.9588 0.0506 0.2698
O: 0.9588 0.4494 0.2302

=====

PrEuNbZnO6: optimized geometry, PBE-GGA.

Computed properties:
E_form	-2.95	eV per atom

abc: 5.7028 5.7028 5.7028
angles: 60.00 60.00 60.00
Sites, in units of the cell vectors:
Pr: 0.0000 0.0000 0.0000
Eu: 0.5000 0.5000 0.5000
Nb: 0.2500 0.2500 0.2500
Zn: 0.7500 0.7500 0.7500
O: 0.0030 0.0030 0.4970
O: 0.0030 0.4970 0.0030
O: 0.0030 0.4970 0.4970
O: 0.4970 0.0030 0.0030
O: 0.4970 0.0030 0.4970
O: 0.4970 0.4970 0.0030

=====

What did the first record say?
Eu2Nb5O9: optimized geometry, PBE-GGA.

Computed properties:
E_form	-2.83	eV per atom

abc: 4.1964 4.1964 12.1675
angles: 90.00 90.00 90.00
Sites, in units of the cell vectors:
Eu: 0.0000 0.0000 0.1694
Eu: 0.0000 0.0000 0.8306
Nb: 0.0000 0.5000 0.5000
Nb: 0.5000 0.0000 0.5000
Nb: 0.5000 0.5000 0.0000
Nb: 0.5000 0.5000 0.3355
Nb: 0.5000 0.5000 0.6645
O: 0.0000 0.0000 0.5000
O: 0.0000 0.5000 0.0000
O: 0.0000 0.5000 0.3226
O: 0.0000 0.5000 0.6774
O: 0.5000 0.0000 0.0000
O: 0.5000 0.0000 0.3226
O: 0.5000 0.0000 0.6774
O: 0.5000 0.5000 0.1621
O: 0.5000 0.5000 0.8379

=====

Which of these has the highest E_form? Eu2Nb5O9

=====

Look up the E_form of the sixth one. -3.19 eV per atom

=====

Repeat the eighth record exactly.
PrEuNbZnO6: optimized geometry, PBE-GGA.

Computed properties:
E_form	-2.95	eV per atom

abc: 5.7028 5.7028 5.7028
angles: 60.00 60.00 60.00
Sites, in units of the cell vectors:
Pr: 0.0000 0.0000 0.0000
Eu: 0.5000 0.5000 0.5000
Nb: 0.2500 0.2500 0.2500
Zn: 0.7500 0.7500 0.7500
O: 0.0030 0.0030 0.4970
O: 0.0030 0.4970 0.0030
O: 0.0030 0.4970 0.4970
O: 0.4970 0.0030 0.0030
O: 0.4970 0.0030 0.4970
O: 0.4970 0.4970 0.0030